[1]
The following is a GGA-PBE calculation of an optimized crystal structure of Gd4BClO7, from the Materials Project.

Output
energy of formation	-3.6143	eV per atom
corrected total energy (MP2020 scheme)	-0.82801	Ry/atom
magnetic moment	2.154	μB per atom

Cell and atoms, written as POSCAR:
```
Gd4BClO7
1.0
8.806 0.000 0.000
0.000 8.191 0.000
-6.493 0.000 10.744
Gd B Cl O
16 4 4 28
direct
0.075 0.136 0.420
0.075 0.364 0.920
0.082 0.618 0.413
0.082 0.882 0.913
0.300 0.128 0.780
0.300 0.372 0.280
0.317 0.616 0.780
0.317 0.884 0.280
0.683 0.116 0.720
0.683 0.384 0.220
0.700 0.628 0.720
0.700 0.872 0.220
0.918 0.118 0.087
0.918 0.382 0.587
0.925 0.636 0.080
0.925 0.864 0.580
0.369 0.128 0.086
0.369 0.372 0.586
0.631 0.628 0.414
0.631 0.872 0.914
0.382 0.639 0.033
0.382 0.861 0.533
0.618 0.139 0.467
0.618 0.361 0.967
0.041 0.123 0.596
0.041 0.377 0.096
0.066 0.624 0.592
0.066 0.876 0.092
0.176 0.116 0.280
0.176 0.384 0.780
0.193 0.636 0.276
0.193 0.864 0.776
0.280 0.112 0.958
0.280 0.388 0.458
0.387 0.218 0.635
0.387 0.282 0.135
0.427 0.509 0.660
0.427 0.991 0.160
0.573 0.009 0.840
0.573 0.491 0.340
0.613 0.718 0.865
0.613 0.782 0.365
0.720 0.612 0.542
0.720 0.888 0.042
0.807 0.136 0.224
0.807 0.364 0.724
0.824 0.616 0.220
0.824 0.884 0.720
0.934 0.124 0.908
0.934 0.376 0.408
0.959 0.623 0.904
0.959 0.877 0.404
```


[2]
The following is a GGA-PBE calculation of an optimized crystal structure of LaB12H33Cl2O11, from the Materials Project.

Output
energy of formation	-0.8036	eV per atom
corrected total energy (MP2020 scheme)	-0.37694	Ry/atom
magnetic moment	0.034	μB per atom

Cell and atoms, written as POSCAR:
```
LaB12H33Cl2O11
1.0
7.906 0.000 0.000
3.950 6.852 0.000
0.007 0.021 22.198
La B H Cl O
2 24 66 4 22
direct
0.000 0.000 0.000
0.000 0.000 0.500
0.457 0.666 0.236
0.457 0.666 0.764
0.457 0.877 0.264
0.457 0.877 0.736
0.537 0.668 0.311
0.537 0.668 0.689
0.537 0.795 0.811
0.537 0.796 0.189
0.666 0.457 0.264
0.666 0.457 0.736
0.666 0.877 0.236
0.667 0.877 0.764
0.668 0.537 0.189
0.668 0.537 0.811
0.668 0.795 0.311
0.668 0.796 0.689
0.796 0.537 0.311
0.796 0.537 0.689
0.796 0.668 0.189
0.796 0.668 0.811
0.877 0.457 0.236
0.877 0.457 0.764
0.877 0.666 0.264
0.877 0.666 0.736
0.025 0.307 0.225
0.025 0.307 0.775
0.025 0.668 0.275
0.025 0.668 0.725
0.079 0.576 0.966
0.083 0.342 0.466
0.083 0.342 0.535
0.084 0.574 0.035
0.098 0.266 0.089
0.098 0.266 0.911
0.098 0.636 0.411
0.098 0.636 0.589
0.188 0.406 0.250
0.188 0.406 0.750
0.266 0.098 0.589
0.266 0.636 0.089
0.266 0.636 0.911
0.267 0.097 0.410
0.282 0.813 0.884
0.282 0.905 0.384
0.283 0.812 0.116
0.283 0.905 0.616
0.307 0.025 0.275
0.307 0.025 0.725
0.307 0.668 0.225
0.307 0.668 0.775
0.341 0.084 0.035
0.341 0.574 0.535
0.344 0.080 0.966
0.344 0.576 0.466
0.406 0.188 0.250
0.406 0.188 0.750
0.406 0.406 0.250
0.406 0.406 0.750
0.445 0.666 0.354
0.445 0.666 0.646
0.445 0.889 0.146
0.445 0.889 0.854
0.575 0.084 0.535
0.575 0.341 0.035
0.576 0.343 0.966
0.577 0.079 0.466
0.636 0.098 0.089
0.636 0.098 0.911
0.636 0.266 0.411
0.637 0.266 0.589
0.666 0.445 0.146
0.666 0.445 0.854
0.666 0.889 0.354
0.666 0.889 0.646
0.668 0.307 0.275
0.668 0.307 0.725
0.669 0.025 0.225
0.669 0.025 0.775
0.812 0.905 0.116
0.812 0.906 0.884
0.813 0.282 0.384
0.813 0.283 0.616
0.889 0.445 0.354
0.889 0.445 0.646
0.890 0.666 0.146
0.890 0.666 0.854
0.905 0.283 0.116
0.905 0.812 0.616
0.906 0.282 0.884
0.906 0.812 0.384
0.333 0.334 0.086
0.333 0.334 0.914
0.334 0.333 0.414
0.334 0.333 0.586
0.010 0.212 0.914
0.010 0.213 0.086
0.010 0.778 0.414
0.010 0.778 0.586
0.017 0.663 0.001
0.018 0.319 0.500
0.212 0.010 0.414
0.212 0.778 0.914
0.213 0.010 0.586
0.213 0.778 0.086
0.320 0.017 0.000
0.320 0.663 0.501
0.333 0.333 0.750
0.334 0.333 0.250
0.663 0.017 0.501
0.663 0.319 0.000
0.663 0.673 0.519
0.670 0.669 0.018
0.778 0.010 0.086
0.778 0.010 0.914
0.778 0.212 0.414
0.778 0.213 0.586
```


[3]
The following is a GGA-PBE calculation of an optimized crystal structure of B5PH4Cl, from the Materials Project.

Output
energy of formation	-0.2930	eV per atom
corrected total energy (MP2020 scheme)	-0.38388	Ry/atom
magnetic moment	0.000	μB per atom

Cell and atoms, written as POSCAR:
```
B5PH4Cl
1.0
12.672 0.000 0.000
0.000 13.948 0.000
0.000 0.000 13.615
B P H Cl
80 16 64 16
direct
0.101 0.088 0.097
0.101 0.412 0.597
0.128 0.571 0.110
0.128 0.929 0.610
0.166 0.027 0.194
0.166 0.473 0.694
0.171 0.519 0.572
0.171 0.981 0.072
0.172 0.153 0.193
0.172 0.347 0.693
0.183 0.076 0.987
0.183 0.424 0.487
0.188 0.633 0.006
0.188 0.867 0.506
0.203 0.509 0.021
0.203 0.991 0.521
0.211 0.582 0.221
0.211 0.918 0.721
0.215 0.022 0.647
0.215 0.478 0.147
0.285 0.522 0.647
0.285 0.978 0.147
0.289 0.082 0.221
0.289 0.418 0.721
0.297 0.009 0.021
0.297 0.491 0.521
0.312 0.133 0.006
0.312 0.367 0.506
0.317 0.576 0.987
0.317 0.924 0.487
0.328 0.653 0.193
0.328 0.847 0.693
0.329 0.019 0.572
0.329 0.481 0.072
0.334 0.527 0.194
0.334 0.973 0.694
0.372 0.071 0.110
0.372 0.429 0.610
0.399 0.588 0.097
0.399 0.912 0.597
0.601 0.088 0.403
0.601 0.412 0.903
0.628 0.571 0.390
0.628 0.929 0.890
0.666 0.027 0.306
0.666 0.473 0.806
0.671 0.519 0.928
0.671 0.981 0.428
0.672 0.153 0.307
0.672 0.347 0.807
0.683 0.076 0.513
0.683 0.424 0.013
0.688 0.633 0.494
0.688 0.867 0.994
0.703 0.509 0.479
0.703 0.991 0.979
0.711 0.582 0.279
0.711 0.918 0.779
0.715 0.022 0.853
0.715 0.478 0.353
0.785 0.522 0.853
0.785 0.978 0.353
0.789 0.082 0.279
0.789 0.418 0.779
0.797 0.009 0.479
0.797 0.491 0.979
0.812 0.133 0.494
0.812 0.367 0.994
0.817 0.576 0.513
0.817 0.924 0.013
0.828 0.653 0.307
0.828 0.847 0.807
0.829 0.019 0.928
0.829 0.481 0.428
0.834 0.527 0.306
0.834 0.973 0.806
0.872 0.071 0.390
0.872 0.429 0.890
0.899 0.588 0.403
0.899 0.912 0.903
0.172 0.209 0.047
0.172 0.291 0.547
0.178 0.704 0.145
0.178 0.796 0.645
0.322 0.204 0.145
0.322 0.296 0.645
0.328 0.709 0.047
0.328 0.791 0.547
0.672 0.209 0.453
0.672 0.291 0.953
0.678 0.704 0.355
0.678 0.796 0.855
0.822 0.204 0.355
0.822 0.296 0.855
0.828 0.709 0.453
0.828 0.791 0.953
0.007 0.097 0.093
0.007 0.403 0.593
0.034 0.567 0.114
0.034 0.933 0.614
0.116 0.508 0.759
0.116 0.992 0.259
0.124 0.590 0.549
0.124 0.910 0.049
0.145 0.076 0.906
0.145 0.424 0.406
0.159 0.042 0.463
0.159 0.458 0.963
0.174 0.586 0.301
0.174 0.914 0.801
0.179 0.095 0.678
0.179 0.405 0.178
0.321 0.595 0.678
0.321 0.905 0.178
0.326 0.086 0.301
0.326 0.414 0.801
0.341 0.542 0.463
0.341 0.958 0.963
0.355 0.576 0.906
0.355 0.924 0.406
0.376 0.090 0.549
0.376 0.410 0.049
0.384 0.008 0.759
0.384 0.492 0.259
0.466 0.067 0.114
0.466 0.433 0.614
0.493 0.597 0.093
0.493 0.903 0.593
0.507 0.097 0.407
0.507 0.403 0.907
0.534 0.567 0.386
0.534 0.933 0.886
0.616 0.508 0.741
0.616 0.992 0.241
0.624 0.590 0.951
0.624 0.910 0.451
0.645 0.076 0.594
0.645 0.424 0.094
0.659 0.042 0.037
0.659 0.458 0.537
0.674 0.586 0.199
0.674 0.914 0.699
0.679 0.095 0.822
0.679 0.405 0.322
0.821 0.595 0.822
0.821 0.905 0.322
0.826 0.086 0.199
0.826 0.414 0.699
0.841 0.542 0.037
0.841 0.958 0.537
0.855 0.576 0.594
0.855 0.924 0.094
0.876 0.090 0.951
0.876 0.410 0.451
0.884 0.008 0.741
0.884 0.492 0.241
0.966 0.067 0.386
0.966 0.433 0.886
0.993 0.597 0.407
0.993 0.903 0.907
0.107 0.227 0.281
0.107 0.273 0.781
0.113 0.689 0.912
0.113 0.811 0.412
0.387 0.189 0.912
0.387 0.311 0.412
0.393 0.727 0.281
0.393 0.773 0.781
0.607 0.227 0.219
0.607 0.273 0.719
0.613 0.689 0.588
0.613 0.811 0.088
0.887 0.189 0.588
0.887 0.311 0.088
0.893 0.727 0.219
0.893 0.773 0.719
```


[4]
The following is a GGA-PBE calculation of an optimized crystal structure of Rb3B12H12Cl, from the Materials Project.

Output
energy of formation	-0.5071	eV per atom
corrected total energy (MP2020 scheme)	-0.36711	Ry/atom
magnetic moment	0.000	μB per atom

Cell and atoms, written as POSCAR:
```
Rb3B12H12Cl
1.0
5.113 2.952 3.867
-5.113 2.952 3.867
0.000 -5.904 3.867
Rb B H Cl
3 12 12 1
direct
0.000 0.500 0.500
0.500 0.000 0.500
0.500 0.500 0.000
0.058 0.058 0.232
0.058 0.232 0.058
0.121 0.121 0.840
0.121 0.840 0.121
0.160 0.879 0.879
0.232 0.058 0.058
0.768 0.942 0.942
0.840 0.121 0.121
0.879 0.160 0.879
0.879 0.879 0.160
0.942 0.768 0.942
0.942 0.942 0.768
0.099 0.099 0.396
0.099 0.396 0.099
0.209 0.209 0.728
0.209 0.728 0.209
0.272 0.791 0.791
0.396 0.099 0.099
0.604 0.901 0.901
0.728 0.209 0.209
0.791 0.272 0.791
0.791 0.791 0.272
0.901 0.604 0.901
0.901 0.901 0.604
0.500 0.500 0.500
```


[5]
The following is a GGA-PBE calculation of an optimized crystal structure of Hg2BCl, from the Materials Project.

Output
energy of formation	0.8232	eV per atom
corrected total energy (MP2020 scheme)	-0.10736	Ry/atom
magnetic moment	0.000	μB per atom

Cell and atoms, written as POSCAR:
```
Hg2BCl
1.0
7.137 0.000 0.000
0.000 7.137 0.000
0.000 0.000 7.137
Hg B Cl
8 4 4
direct
0.000 0.000 0.000
0.000 0.500 0.500
0.250 0.250 0.250
0.250 0.750 0.750
0.500 0.000 0.500
0.500 0.500 0.000
0.750 0.250 0.750
0.750 0.750 0.250
0.000 0.000 0.500
0.000 0.500 0.000
0.500 0.000 0.000
0.500 0.500 0.500
0.250 0.250 0.750
0.250 0.750 0.250
0.750 0.250 0.250
0.750 0.750 0.750
```


What is the corrected total energy (MP2020 scheme) in the third record?
-0.38388 Ry/atom